Entry 1:
This record from the Materials Project database describes a relaxed Li4MnCo2O7 crystal. The functional is GGA+U.

Lattice parameters (Å, degrees): 5.1826 19.8452 5.1745 90.00 112.06 90.00
With the nearest neighbours (Å) after each atom.
Space group C2/m (No. 12)
Asymmetric unit:
Li 0.0000 0.0000 0.0000 (multiplicity 2)  6 O 2.03-2.22
Li 0.0000 0.0700 0.5000 (multiplicity 4)  6 O 2.10-2.34
Li 0.0000 0.2146 0.5000 (multiplicity 4)  6 O 2.11-2.16
Li 0.0000 0.3573 0.5000 (multiplicity 4)  6 O 2.04-2.14
Li 0.0000 0.5000 0.5000 (multiplicity 2)  6 O 2.08-2.16
Mn 0.0000 0.4278 0.0000 (multiplicity 4)  6 O 1.94-1.96
Co 0.0000 0.1430 0.0000 (multiplicity 4)  4 O 1.91-1.93
Co 0.0000 0.2854 0.0000 (multiplicity 4)  4 O 1.92-1.95
O 0.2194 0.5000 0.2354 (multiplicity 4)  2 Mn 1.95, 3 Li 2.08-2.10
O 0.2261 0.2148 0.2246 (multiplicity 8)  2 Co 1.92-1.93, 2 Li 2.12-2.14
O 0.2278 0.3569 0.2327 (multiplicity 8)  1 Mn 1.94, 1 Co 1.95, 3 Li 2.11-2.13
O 0.2439 0.4244 0.7874 (multiplicity 8)  1 Co 1.91, 1 Mn 1.96, 2 Li 2.03-2.04

Summary:
energy of formation = -1.8747 eV/atom

***

Entry 2:
This record from the Materials Project database describes a relaxed Li3Mn2Co2O8 crystal. The functional is GGA+U.

Lattice parameters (Å, degrees): 2.9137 4.9912 10.0613 91.13 91.31 90.71
With the nearest neighbours (Å) after each atom.
Space group P1 (No. 1)
Asymmetric unit:
Li 0.0000 0.0000 0.0000 (multiplicity 1)  4 O 1.95-2.06
Li 0.2250 0.5885 0.5052 (multiplicity 1)  4 O 1.91-2.14
Li 0.4899 0.5004 0.0031 (multiplicity 1)  4 O 1.94-2.06
Mn 0.2212 0.9283 0.2759 (multiplicity 1)  6 O 1.93-2.04
Mn 0.4952 0.1608 0.7664 (multiplicity 1)  5 O 1.89-2.08
Co 0.7197 0.4258 0.2684 (multiplicity 1)  6 O 1.93-1.97
Co 0.9853 0.6652 0.7790 (multiplicity 1)  6 O 1.91-1.98
O 0.0119 0.9775 0.6732 (multiplicity 1)  2 Mn 1.89-2.01, 1 Co 1.91
O 0.2095 0.5947 0.1698 (multiplicity 1)  1 Li 1.94, 2 Co 1.95-1.97, 1 Mn 1.96
O 0.2259 0.2717 0.3675 (multiplicity 1)  2 Co 1.93-1.94, 1 Mn 1.93, 1 Li 2.08
O 0.4718 0.5114 0.6778 (multiplicity 1)  1 Li 1.91, 2 Co 1.92-1.93, 1 Mn 1.98
O 0.4976 0.8271 0.8864 (multiplicity 1)  2 Co 1.98, 3 Li 2.01-2.05, 1 Mn 2.08
O 0.7024 0.0912 0.1665 (multiplicity 1)  1 Co 1.94, 1 Li 1.95, 2 Mn 1.98-2.04
O 0.7335 0.7486 0.3775 (multiplicity 1)  1 Co 1.93, 2 Mn 1.98-2.02, 2 Li 2.08-2.14
O 0.9657 0.3364 0.8857 (multiplicity 1)  1 Co 1.98, 2 Mn 1.99-2.16, 3 Li 2.01-2.06

Summary:
energy of formation = -1.7394 eV/atom

***

Entry 3:
This record from the Materials Project database describes a relaxed Li7Mn2Co3O12 crystal. The functional is GGA+U.

Lattice parameters (Å, degrees): 5.0778 5.8551 7.6438 79.76 77.70 74.10
With the nearest neighbours (Å) after each atom.
Space group P1 (No. 1)
Asymmetric unit:
Li 0.0000 0.0000 0.0000 (multiplicity 1)  6 O 2.07-2.21
Li 0.0008 0.1693 0.3259 (multiplicity 1)  6 O 2.02-2.19
Li 0.0019 0.5046 0.9979 (multiplicity 1)  6 O 2.05-2.25
Li 0.0037 0.6823 0.3229 (multiplicity 1)  6 O 2.12-2.22
Li 0.4984 0.8422 0.1597 (multiplicity 1)  6 O 2.06-2.12
Li 0.9937 0.8474 0.6589 (multiplicity 1)  5 O 2.01-2.18
Li 0.9990 0.3393 0.6578 (multiplicity 1)  6 O 2.06-2.18
Mn 0.5008 0.1650 0.8292 (multiplicity 1)  6 O 1.90-1.98
Mn 0.5009 0.3374 0.1583 (multiplicity 1)  6 O 1.93-1.96
Co 0.4924 0.0035 0.4863 (multiplicity 1)  6 O 1.87-2.10
Co 0.5009 0.6733 0.8278 (multiplicity 1)  5 O 1.93-2.14
Co 0.5067 0.5144 0.4848 (multiplicity 1)  6 O 1.89-2.08
O 0.2605 0.8428 0.4235 (multiplicity 1)  2 Co 1.87-2.02, 1 Li 2.01
O 0.2611 0.0232 0.7477 (multiplicity 1)  1 Mn 1.90, 2 Li 2.06-2.10, 1 Co 2.10
O 0.2658 0.3430 0.3944 (multiplicity 1)  1 Mn 1.94, 2 Co 2.06-2.09, 2 Li 2.09-2.12
O 0.2779 0.1817 0.0679 (multiplicity 1)  2 Mn 1.93, 2 Li 2.08
O 0.2833 0.6498 0.0673 (multiplicity 1)  1 Co 1.93, 1 Mn 1.95, 2 Li 2.05-2.06
O 0.2913 0.4906 0.7443 (multiplicity 1)  2 Co 1.96-2.05, 1 Mn 1.98, 2 Li 2.17-2.18
O 0.7189 0.1757 0.5866 (multiplicity 1)  1 Mn 1.95, 2 Co 2.05-2.08, 2 Li 2.10-2.12
O 0.7199 0.8520 0.8987 (multiplicity 1)  1 Mn 1.92, 1 Co 1.93, 2 Li 2.05-2.07
O 0.7251 0.4981 0.2513 (multiplicity 1)  1 Co 1.89, 1 Mn 1.96, 2 Li 2.11
O 0.7250 0.6813 0.5888 (multiplicity 1)  3 Co 1.94-2.05, 2 Li 2.08-2.15
O 0.7309 0.0307 0.2449 (multiplicity 1)  1 Mn 1.95, 1 Co 1.99, 3 Li 2.02-2.08
O 0.7335 0.3204 0.9210 (multiplicity 1)  2 Mn 1.94-1.97, 3 Li 2.07-2.18, 1 Co 2.16

Summary:
energy of formation = -1.9030 eV/atom

***

Entry 4:
This record from the Materials Project database describes a relaxed Li4MnCo2O7 crystal. The functional is GGA+U.

Lattice parameters (Å, degrees): 30.0655 2.8808 5.9005 90.00 95.87 90.00
With the nearest neighbours (Å) after each atom.
Space group Cm (No. 8)
Asymmetric unit:
Li 0.0000 0.0000 0.0000 (multiplicity 2)  5 O 2.05-2.12
Li 0.0020 0.0000 0.4987 (multiplicity 2)  6 O 2.07-2.17
Li 0.0688 0.5000 0.2899 (multiplicity 2)  6 O 2.10-2.22
Li 0.1408 0.0000 0.5733 (multiplicity 2)  5 O 1.98-2.22
Li 0.2184 0.5000 0.8556 (multiplicity 2)  6 O 2.10-2.20
Li 0.2928 0.0000 0.1479 (multiplicity 2)  5 O 2.02-2.14
Li 0.3621 0.5000 0.4262 (multiplicity 2)  6 O 2.06-2.18
Li 0.4347 0.0000 0.7128 (multiplicity 2)  6 O 2.12-2.26
Mn 0.1430 0.0000 0.0662 (multiplicity 2)  6 O 1.90-2.06
Mn 0.2175 0.5000 0.3637 (multiplicity 2)  5 O 1.96-2.15
Co 0.0646 0.5000 0.7680 (multiplicity 2)  3 O 1.77-1.95
Co 0.2919 0.0000 0.6451 (multiplicity 2)  5 O 1.99-2.01
Co 0.3615 0.5000 0.9393 (multiplicity 2)  6 O 1.98-2.18
Co 0.4383 0.0000 0.2259 (multiplicity 2)  5 O 1.81-2.00
O 0.0055 0.5000 0.7578 (multiplicity 2)  1 Co 1.77
O 0.0746 0.0000 0.5560 (multiplicity 2)  2 Co 1.95, 4 Li 1.98-2.17
O 0.0797 0.0000 0.0142 (multiplicity 2)  1 Mn 1.90, 2 Co 2.06
O 0.1425 0.5000 0.2883 (multiplicity 2)  2 Mn 1.95
O 0.1475 0.5000 0.8504 (multiplicity 2)  2 Mn 1.94, 1 Li 2.13
O 0.2115 0.0000 0.1313 (multiplicity 2)  3 Mn 1.98-2.06, 2 Li 2.20
O 0.2170 0.0000 0.5888 (multiplicity 2)  2 Mn 1.96, 2 Li 2.13
O 0.2894 0.5000 0.4116 (multiplicity 2)  2 Co 1.99, 3 Li 2.13-2.18, 1 Mn 2.15
O 0.2886 0.5000 0.8787 (multiplicity 2)  3 Co 2.00-2.18, 3 Li 2.10-2.14
O 0.3591 0.0000 0.6942 (multiplicity 2)  3 Co 2.01-2.04, 2 Li 2.15
O 0.3602 0.0000 0.1685 (multiplicity 2)  2 Co 1.98, 3 Li 2.02-2.09
O 0.4292 0.5000 0.9896 (multiplicity 2)  3 Co 2.00-2.03, 3 Li 2.12-2.20
O 0.4310 0.5000 0.4396 (multiplicity 2)  2 Co 1.94, 4 Li 2.06-2.16
O 0.4987 0.0000 0.2455 (multiplicity 2)  1 Co 1.81

Summary:
energy of formation = -1.8135 eV/atom

***

Entry 5:
This record from the Materials Project database describes a relaxed Li4MnCo2O7 crystal. The functional is GGA+U.

Lattice parameters (Å, degrees): 5.1011 5.8768 8.6084 91.74 94.62 108.48
With the nearest neighbours (Å) after each atom.
Space group P1 (No. 1)
Asymmetric unit:
Li 0.0000 0.0000 0.0000 (multiplicity 1)  6 O 2.10-2.27
Li 0.0026 0.5010 0.0017 (multiplicity 1)  6 O 2.03-2.15
Li 0.1461 0.2892 0.2834 (multiplicity 1)  6 O 2.10-2.23
Li 0.2881 0.5723 0.5774 (multiplicity 1)  6 O 2.01-2.14
Li 0.4272 0.8542 0.8647 (multiplicity 1)  6 O 2.06-2.20
Li 0.5778 0.1532 0.1407 (multiplicity 1)  6 O 2.05-2.29
Li 0.7171 0.4269 0.4320 (multiplicity 1)  5 O 2.02-2.14
Li 0.8641 0.7157 0.7213 (multiplicity 1)  6 O 2.09-2.24
Mn 0.1441 0.7839 0.2848 (multiplicity 1)  6 O 1.89-1.98
Mn 0.4328 0.3606 0.8620 (multiplicity 1)  6 O 1.91-1.97
Co 0.2887 0.0730 0.5751 (multiplicity 1)  6 O 1.93-2.12
Co 0.5733 0.6430 0.1441 (multiplicity 1)  6 O 1.93-1.99
Co 0.7184 0.9320 0.4328 (multiplicity 1)  4 O 1.90-1.97
Co 0.8605 0.2162 0.7176 (multiplicity 1)  4 O 1.91-1.95
O 0.0244 0.7670 0.4977 (multiplicity 1)  2 Co 1.93-2.13, 1 Mn 1.97, 3 Li 2.11-2.14
O 0.1496 0.5062 0.7895 (multiplicity 1)  1 Co 1.91, 1 Mn 1.97, 3 Li 2.01-2.13
O 0.1654 0.0474 0.7833 (multiplicity 1)  2 Co 1.94-2.14, 1 Mn 1.97, 3 Li 2.09-2.10
O 0.3029 0.8125 0.0921 (multiplicity 1)  1 Mn 1.89, 1 Co 1.97, 3 Li 2.06-2.10
O 0.3130 0.3358 0.0674 (multiplicity 1)  1 Mn 1.91, 1 Co 1.93, 3 Li 2.05-2.14
O 0.4091 0.0951 0.3674 (multiplicity 1)  2 Co 1.93-2.14, 1 Mn 1.97, 2 Li 2.11-2.12
O 0.4285 0.6345 0.3501 (multiplicity 1)  2 Co 1.97, 1 Mn 1.97, 2 Li 2.11-2.14
O 0.5536 0.3819 0.6492 (multiplicity 1)  2 Co 1.94-2.14, 1 Mn 1.97, 3 Li 2.08-2.13
O 0.5953 0.9123 0.6362 (multiplicity 1)  3 Co 1.90-2.11, 1 Li 2.13
O 0.6913 0.6657 0.9361 (multiplicity 1)  1 Mn 1.91, 1 Co 1.93, 3 Li 2.07-2.12
O 0.7055 0.1949 0.9140 (multiplicity 1)  1 Co 1.91, 1 Mn 1.97, 3 Li 2.03-2.10
O 0.8558 0.4932 0.2191 (multiplicity 1)  1 Mn 1.90, 1 Co 1.99, 3 Li 2.02-2.10
O 0.8626 0.9421 0.2269 (multiplicity 1)  2 Co 1.97, 1 Mn 1.98, 2 Li 2.11-2.13
O 0.9821 0.2326 0.5081 (multiplicity 1)  3 Co 1.91-2.12, 1 Li 2.11

Summary:
energy of formation = -1.8518 eV/atom

***

Entry 6:
This record from the Materials Project database describes a relaxed Li4MnCo2O7 crystal. The functional is GGA+U.

Lattice parameters (Å, degrees): 9.8522 2.8807 17.9528 90.00 96.64 90.00
With the nearest neighbours (Å) after each atom.
Space group C2/m (No. 12)
Asymmetric unit:
Li 0.0000 0.0000 0.0000 (multiplicity 2)  6 O 2.09-2.26
Li 0.0000 0.0000 0.5000 (multiplicity 2)  6 O 2.11-2.16
Li 0.0683 0.5000 0.1405 (multiplicity 4)  6 O 2.09-2.22
Li 0.1466 0.0000 0.2920 (multiplicity 4)  6 O 2.01-2.25
Li 0.2058 0.5000 0.4374 (multiplicity 4)  5 O 2.05-2.16
Mn 0.1400 0.0000 0.7854 (multiplicity 4)  6 O 1.91-1.99
Co 0.0748 0.5000 0.6298 (multiplicity 4)  3 O 1.78-1.95
Co 0.2164 0.5000 0.9306 (multiplicity 4)  6 O 2.01-2.13
O 0.0141 0.5000 0.7573 (multiplicity 4)  2 Mn 1.93, 1 Li 2.09
O 0.0586 0.0000 0.3875 (multiplicity 4)  2 Co 1.95, 4 Li 2.01-2.16
O 0.0822 0.0000 0.8877 (multiplicity 4)  1 Mn 1.99, 2 Co 2.04, 2 Li 2.09
O 0.1452 0.5000 0.5429 (multiplicity 4)  1 Co 1.78
O 0.1481 0.5000 0.0347 (multiplicity 4)  3 Co 2.01-2.06, 3 Li 2.09-2.14
O 0.1978 0.0000 0.6876 (multiplicity 4)  1 Mn 1.91, 2 Co 2.08, 2 Li 2.10
O 0.2315 0.0000 0.1814 (multiplicity 4)  2 Mn 1.96, 1 Co 2.13

Summary:
energy of formation = -1.8288 eV/atom

***

Entry 7:
This record from the Materials Project database describes a relaxed Li7Mn2Co3O12 crystal. The functional is GGA+U.

Lattice parameters (Å, degrees): 5.9569 2.9089 12.7596 90.00 102.79 90.00
With the nearest neighbours (Å) after each atom.
Space group Pm (No. 6)
Asymmetric unit:
Li 0.0000 0.0000 0.0000 (multiplicity 1)  6 O 2.07-2.13
Li 0.0063 0.5000 0.5009 (multiplicity 1)  6 O 2.10-2.16
Li 0.1649 0.0000 0.3320 (multiplicity 1)  6 O 2.04-2.24
Li 0.3258 0.5000 0.1537 (multiplicity 1)  3 O 1.97-2.19
Li 0.5132 0.0000 0.0010 (multiplicity 1)  6 O 2.06-2.22
Li 0.6892 0.5000 0.8479 (multiplicity 1)  6 O 2.08-2.29
Li 0.8442 0.0000 0.6726 (multiplicity 1)  4 O 1.98-2.22
Mn 0.3393 0.0000 0.6700 (multiplicity 1)  6 O 1.91-1.97
Mn 0.8394 0.5000 0.1615 (multiplicity 1)  5 O 1.83-1.99
Co 0.1718 0.5000 0.8531 (multiplicity 1)  3 O 1.77-1.97
Co 0.5077 0.5000 0.4966 (multiplicity 1)  6 O 1.92-2.10
Co 0.6759 0.0000 0.3372 (multiplicity 1)  6 O 2.02-2.08
O 0.0592 0.0000 0.1687 (multiplicity 1)  2 Mn 1.95, 2 Li 2.04-2.10
O 0.1230 0.5000 0.6688 (multiplicity 1)  2 Mn 1.94, 1 Li 2.10
O 0.2594 0.5000 0.9952 (multiplicity 1)  1 Co 1.77, 1 Li 1.97
O 0.2741 0.0000 0.5117 (multiplicity 1)  1 Mn 1.97, 2 Co 2.05, 2 Li 2.14
O 0.4041 0.0000 0.8232 (multiplicity 1)  1 Mn 1.91, 2 Co 2.10
O 0.4319 0.5000 0.3419 (multiplicity 1)  3 Co 1.92-2.07, 2 Li 2.14
O 0.5596 0.5000 0.6650 (multiplicity 1)  2 Mn 1.97, 1 Co 2.10
O 0.6183 0.0000 0.1719 (multiplicity 1)  2 Mn 1.99, 1 Co 2.06, 1 Li 2.13
O 0.7443 0.0000 0.5040 (multiplicity 1)  3 Co 2.01-2.08, 3 Li 2.10-2.14
O 0.7622 0.5000 0.0147 (multiplicity 1)  1 Mn 1.83
O 0.9065 0.5000 0.3278 (multiplicity 1)  2 Co 2.02, 1 Mn 2.07, 3 Li 2.11-2.16
O 0.9421 0.0000 0.8315 (multiplicity 1)  2 Co 1.97, 4 Li 1.98-2.14

Summary:
energy of formation = -1.8691 eV/atom

***

E (MP2020) values, unit eV/atom, following the record order: -6.564, -6.929, -6.586, -6.503, -6.541, -6.518, -6.552.